# NaH3O2 | Materials Project | PBE-GGA | optimized geometry
data_NaH3O2
_space_group_name_H-M_alt 'P 1'
_space_group_IT_number 1
_cell_length_a 11.9161
_cell_length_b 6.1119
_cell_length_c 6.1527
_cell_angle_alpha 89.76
_cell_angle_beta 90.00
_cell_angle_gamma 90.00
loop_
_space_group_symop_operation_xyz
'x,y,z'
loop_
_atom_site_label
_atom_site_fract_x
_atom_site_fract_y
_atom_site_fract_z
H1 0.1293 0.6062 0.9239
H2 0.2025 0.3766 0.4176
H3 0.6341 0.0595 0.7225
H4 0.3708 0.4418 0.2066
H5 0.7962 0.1229 0.9289
H6 0.6293 0.3938 0.5761
H7 0.2975 0.3766 0.9176
H8 0.1292 0.4418 0.7066
H9 0.7038 0.1229 0.4289
H10 0.7025 0.6234 0.0824
H11 0.7975 0.6234 0.5824
H12 0.2038 0.8771 0.0711
H13 0.1298 0.1126 0.5649
H14 0.8707 0.3938 0.0761
H15 0.3659 0.9405 0.2775
H16 0.8659 0.0595 0.2225
H17 0.1341 0.9405 0.7775
H18 0.3702 0.1126 0.0649
H19 0.8708 0.5582 0.2934
H20 0.8702 0.8874 0.4351
H21 0.6298 0.8874 0.9351
H22 0.6292 0.5582 0.7934
H23 0.2962 0.8771 0.5711
H24 0.3707 0.6062 0.4239
Na1 0.0532 0.7096 0.3639
Na2 0.4473 0.2060 0.6315
Na3 0.0527 0.2060 0.1315
Na4 0.9468 0.2904 0.6361
Na5 0.5527 0.7940 0.3685
Na6 0.9473 0.7940 0.8685
Na7 0.4468 0.7096 0.8639
Na8 0.5532 0.2904 0.1361
O1 0.6245 0.1412 0.4651
O2 0.8762 0.0458 0.3858
O3 0.1230 0.3613 0.4538
O4 0.1203 0.4504 0.8711
O5 0.3770 0.3613 0.9538
O6 0.8797 0.5496 0.1289
O7 0.3797 0.4504 0.3711
O8 0.1238 0.9542 0.6142
O9 0.6203 0.5496 0.6289
O10 0.3762 0.9542 0.1142
O11 0.8755 0.1412 0.9651
O12 0.1245 0.8588 0.0349
O13 0.3755 0.8588 0.5349
O14 0.6230 0.6387 0.0462
O15 0.6238 0.0458 0.8858
O16 0.8770 0.6387 0.5462
# Magnetic moment, μB per cell: 0.00
# Space-group type: No. 14

# NaH9O5 | Materials Project | PBE-GGA | optimized geometry
data_NaH9O5
_space_group_name_H-M_alt 'P 1'
_space_group_IT_number 1
_cell_length_a 6.3565
_cell_length_b 6.3830
_cell_length_c 13.0419
_cell_angle_alpha 90.00
_cell_angle_beta 90.00
_cell_angle_gamma 90.00
loop_
_space_group_symop_operation_xyz
'x,y,z'
loop_
_atom_site_label
_atom_site_fract_x
_atom_site_fract_y
_atom_site_fract_z
H1 0.6945 0.4818 0.1056
H2 0.7161 0.9572 0.0147
H3 0.8055 0.5182 0.6056
H4 0.8699 0.0064 0.7016
H5 0.0568 0.7257 0.9496
H6 0.2161 0.5428 0.9853
H7 0.2890 0.9794 0.1105
H8 0.4373 0.9985 0.5610
H9 0.0746 0.0134 0.4342
H10 0.1439 0.4923 0.6736
H11 0.1301 0.5064 0.7984
H12 0.9432 0.2257 0.5504
H13 0.6301 0.9936 0.2016
H14 0.6439 0.0077 0.3264
H15 0.7110 0.4794 0.3895
H16 0.8561 0.9923 0.8264
H17 0.5740 0.8328 0.4523
H18 0.0627 0.0015 0.0610
H19 0.2839 0.4572 0.4853
H20 0.4254 0.9866 0.9342
H21 0.9254 0.5134 0.0658
H22 0.3699 0.4936 0.2984
H23 0.9373 0.5015 0.4390
H24 0.3055 0.9818 0.3944
H25 0.3561 0.5077 0.1736
H26 0.5627 0.4985 0.9390
H27 0.7839 0.0428 0.5147
H28 0.1945 0.0182 0.8944
H29 0.0740 0.6672 0.5477
H30 0.7890 0.5206 0.8895
H31 0.5746 0.4866 0.5658
H32 0.9260 0.1672 0.9523
H33 0.2110 0.0206 0.6105
H34 0.5568 0.7743 0.0504
H35 0.4432 0.2743 0.4496
H36 0.4260 0.3328 0.0477
O1 0.5661 0.9855 0.4524
O2 0.9260 0.0726 0.5496
O3 0.1408 0.9961 0.1287
O4 0.5740 0.9274 0.0496
O5 0.4260 0.4274 0.4504
O6 0.1568 0.9895 0.3707
O7 0.7756 0.9877 0.7602
O8 0.7244 0.0123 0.2602
O9 0.8592 0.4961 0.3713
O10 0.2244 0.4877 0.7398
O11 0.4339 0.4855 0.0476
O12 0.0740 0.5726 0.9504
O13 0.3592 0.0039 0.6287
O14 0.6408 0.5039 0.8713
O15 0.8432 0.4895 0.1293
O16 0.0661 0.5145 0.5476
O17 0.9339 0.0145 0.9524
O18 0.2756 0.5123 0.2398
O19 0.6568 0.5105 0.6293
O20 0.3432 0.0105 0.8707
Na1 0.0079 0.2496 0.2491
Na2 0.9921 0.7496 0.2509
Na3 0.5079 0.2504 0.7509
Na4 0.4921 0.7504 0.7491
# ΔE to the lowest computed polymorph, kJ per mole of atoms: 1.28
# Piezoelectric modulus e_max, C/m2: 0.02
# Space-group type: No. 19

Below is a relaxed NaHO crystal, with properties calculated at the PBE-GGA level.

```
data_NaHO
_space_group_name_H-M_alt 'P 1'
_space_group_IT_number 1
_cell_length_a 5.6241
_cell_length_b 5.6242
_cell_length_c 5.6242
_cell_angle_alpha 111.39
_cell_angle_beta 111.40
_cell_angle_gamma 105.69
loop_
_space_group_symop_operation_xyz
'x,y,z'
loop_
_atom_site_label
_atom_site_fract_x
_atom_site_fract_y
_atom_site_fract_z
O1 0.3588 0.3588 0.5000
O2 0.1412 0.6412 0.0000
O3 0.6411 0.1411 0.0000
O4 0.8589 0.8589 0.5000
Na1 0.4999 0.5000 0.0000
Na2 0.0000 0.5000 0.5001
Na3 0.0000 0.0000 0.0000
Na4 0.4999 0.0000 0.5000
H1 0.5021 0.5020 0.4999
H2 0.4979 0.9979 0.0001
H3 0.0022 0.0022 0.4999
H4 0.9980 0.4980 0.0001
```

no.,calculated formation energy (eV/atom),total energy (eV per cell)
1,-1.4391,-229.26
2,-1.3345,-292.72
3,-1.5378,-54.36